# 1
A relaxed structure of Na8TaIn3Si4P2O24. Source: Materials Project, functional PBE.

```
Na8TaIn3Si4P2O24
1.0
9.250 0.000 0.000
4.622 8.023 0.000
0.010 0.033 22.371
Na Ta In Si P O
24 3 9 12 6 72
Cartesian
0.000 0.000 0.000 Na
1.728 3.003 16.724 Na
3.486 6.002 11.205 Na
0.458 0.491 14.952 Na
3.466 5.421 3.864 Na
2.955 0.346 3.941 Na
4.652 3.202 14.833 Na
6.330 5.661 1.918 Na
6.410 5.680 12.968 Na
4.803 2.780 7.569 Na
3.545 0.603 18.619 Na
5.205 3.122 0.064 Na
3.486 0.020 11.205 Na
7.510 3.108 11.271 Na
9.218 5.979 0.059 Na
6.333 0.374 9.383 Na
8.063 3.340 3.867 Na
6.399 0.396 20.531 Na
9.351 5.487 14.771 Na
9.668 5.826 7.566 Na
7.939 2.703 18.627 Na
12.258 5.872 18.687 Na
9.253 0.539 7.561 Na
10.978 3.030 5.699 Na
6.387 5.718 16.497 Ta
10.956 3.089 20.134 Ta
11.012 3.083 9.001 Ta
6.358 5.720 20.956 In
6.370 5.710 5.439 In
6.381 5.691 9.727 In
6.299 0.398 12.738 In
6.357 0.416 17.214 In
6.368 0.368 6.068 In
6.387 0.355 1.487 In
10.978 3.068 2.290 In
10.982 3.059 13.499 In
3.588 5.701 7.549 Si
0.389 0.090 18.791 Si
4.482 3.066 11.320 Si
3.100 0.130 7.554 Si
4.973 3.358 18.789 Si
3.567 0.344 15.026 Si
9.105 5.731 18.795 Si
7.786 3.301 7.543 Si
7.736 2.802 15.022 Si
8.245 3.042 0.123 Si
9.621 5.438 11.320 Si
12.350 5.399 0.115 Si
3.077 0.712 0.088 P
4.983 2.759 3.782 P
9.585 6.005 3.793 P
9.152 0.344 3.789 P
12.425 6.035 15.045 P
9.632 0.694 11.288 P
2.635 4.335 7.758 O
0.935 1.284 12.604 O
1.182 1.561 18.866 O
2.925 4.531 1.477 O
4.498 6.034 8.850 O
5.196 7.258 20.143 O
5.398 7.076 3.866 O
4.745 5.914 15.213 O
4.451 5.305 6.212 O
3.305 3.296 18.868 O
5.624 7.310 11.172 O
2.388 1.624 7.766 O
4.711 5.623 0.028 O
5.725 7.281 17.526 O
2.575 1.642 14.933 O
3.382 2.947 10.056 O
2.681 1.665 21.229 O
2.509 1.307 1.395 O
3.420 2.882 3.764 O
3.639 3.256 12.694 O
6.968 7.581 6.213 O
5.311 4.400 17.521 O
5.403 4.412 11.214 O
7.104 7.356 22.363 O
7.226 7.005 15.232 O
5.646 4.171 3.845 O
5.648 3.941 20.132 O
7.550 7.195 8.850 O
4.455 0.611 16.360 O
5.277 1.913 5.041 O
4.630 0.668 0.063 O
5.557 2.092 2.494 O
5.348 1.677 11.229 O
4.707 0.375 7.430 O
5.563 1.858 18.648 O
9.086 7.962 13.718 O
6.979 4.294 15.222 O
8.029 5.876 3.857 O
8.005 5.647 11.205 O
7.029 3.913 8.841 O
8.270 6.052 20.133 O
7.329 4.388 0.038 O
8.018 5.491 17.535 O
7.686 4.252 6.209 O
6.988 2.178 13.705 O
9.863 6.836 2.503 O
10.151 6.941 18.584 O
7.194 1.790 7.417 O
10.176 6.690 5.047 O
7.362 1.658 0.048 O
7.565 1.887 16.355 O
10.470 6.843 11.267 O
9.828 4.580 12.680 O
9.088 3.244 1.496 O
9.960 4.290 18.872 O
11.512 6.813 0.052 O
9.351 3.061 14.955 O
10.249 4.588 3.785 O
9.431 3.150 7.763 O
10.230 4.520 10.050 O
9.349 2.920 21.206 O
8.082 0.643 11.269 O
11.804 6.951 7.424 O
8.043 0.314 18.632 O
8.264 0.547 5.039 O
11.806 6.663 16.310 O
8.292 0.167 2.501 O
12.239 6.918 13.786 O
11.710 4.530 21.199 O
10.048 1.615 10.076 O
10.075 1.610 3.752 O
11.842 4.606 14.963 O
```

# 2
A relaxed structure of Na5Ta3InSi5PO24. Source: Materials Project, functional PBE.

```
Na5Ta3InSi5PO24
1.0
9.039 0.000 0.000
4.519 7.842 0.000
0.032 -0.008 22.568
Na Ta In Si P O
15 9 3 15 3 72
Cartesian
0.000 0.000 0.000 Na
1.686 2.864 16.935 Na
4.516 3.099 15.112 Na
6.100 5.637 13.120 Na
6.131 5.559 1.962 Na
4.528 2.590 7.501 Na
4.955 3.025 0.016 Na
8.924 5.813 22.517 Na
6.073 0.203 20.530 Na
6.142 0.338 9.471 Na
9.143 5.358 15.114 Na
7.755 2.669 18.707 Na
9.496 5.633 7.547 Na
8.906 0.595 7.495 Na
10.670 2.907 5.635 Na
6.113 5.554 5.191 Ta
6.148 5.557 9.997 Ta
6.174 5.586 16.516 Ta
6.160 0.316 12.721 Ta
6.161 0.352 1.540 Ta
10.649 2.917 13.612 Ta
10.666 2.938 9.024 Ta
10.699 2.963 20.243 Ta
10.673 2.929 2.429 Ta
6.175 5.581 21.160 In
6.142 0.361 6.099 In
6.129 0.264 17.318 In
3.550 5.534 7.600 Si
2.942 0.705 0.060 Si
4.269 2.929 11.339 Si
7.416 7.808 7.587 Si
4.810 2.656 3.868 Si
3.514 0.356 15.090 Si
7.462 3.333 7.590 Si
8.852 5.583 18.915 Si
7.494 2.587 15.146 Si
9.360 5.247 11.333 Si
8.053 2.917 0.057 Si
12.003 5.880 15.072 Si
8.818 0.327 3.866 Si
11.921 5.224 0.063 Si
9.331 0.656 11.314 Si
0.330 0.025 18.904 P
4.818 3.268 18.881 P
9.320 5.867 3.823 P
0.960 1.446 12.578 O
2.580 4.260 1.324 O
1.091 1.413 18.947 O
2.652 4.147 7.708 O
5.053 7.124 20.235 O
4.534 5.740 8.880 O
4.598 5.685 15.291 O
5.230 6.819 3.911 O
2.174 1.454 7.709 O
5.456 7.058 17.703 O
4.514 5.394 22.553 O
3.253 3.163 18.961 O
2.282 1.477 1.332 O
5.510 7.034 11.207 O
3.298 3.128 12.638 O
4.528 5.288 6.278 O
3.206 2.888 3.600 O
2.513 1.628 14.835 O
3.287 2.735 10.011 O
2.700 1.679 21.321 O
6.714 7.093 6.274 O
5.136 4.182 17.641 O
6.776 7.087 0.046 O
5.186 4.271 11.198 O
5.366 3.878 20.186 O
7.089 6.871 8.883 O
7.129 6.812 15.314 O
5.572 4.110 3.917 O
4.347 0.827 16.376 O
4.918 1.820 5.233 O
4.580 0.581 0.225 O
5.181 1.591 11.510 O
5.490 1.907 18.768 O
6.761 4.111 15.295 O
5.470 1.832 2.554 O
4.508 0.110 7.543 O
6.809 4.096 8.879 O
7.785 5.774 3.884 O
4.512 0.009 13.830 O
7.738 5.373 11.203 O
7.059 4.187 0.027 O
7.784 5.358 17.628 O
7.195 4.301 6.276 O
8.049 5.690 20.316 O
6.706 1.843 13.911 O
6.799 1.858 7.576 O
9.666 6.800 2.591 O
9.816 6.842 18.801 O
10.067 6.709 11.474 O
9.940 6.397 5.123 O
7.155 1.526 0.226 O
7.357 1.820 16.547 O
9.677 4.320 12.643 O
9.115 3.226 7.706 O
9.067 3.134 1.299 O
9.680 4.103 18.959 O
11.168 6.685 0.217 O
9.923 4.463 3.580 O
7.717 0.559 11.493 O
9.083 2.924 14.895 O
10.011 4.484 10.006 O
9.032 2.640 21.276 O
11.162 6.346 16.354 O
7.885 0.313 18.768 O
8.029 0.599 5.236 O
11.624 6.826 7.531 O
7.783 0.129 2.551 O
11.715 6.866 13.795 O
11.244 4.480 21.310 O
9.646 1.589 9.977 O
9.757 1.649 3.599 O
11.419 4.346 14.839 O
```

# 3
A relaxed structure of Na3TiInSiP2O12. Source: Materials Project, functional PBE.

```
Na3TiInSiP2O12
1.0
-9.867 8.348 -8.802
-6.732 -1.870 5.773
4.930 3.238 6.798
Na Ti In Si P O
12 4 4 4 8 48
Cartesian
-2.467 3.994 8.745 Na
-10.191 6.458 1.225 Na
-4.034 9.103 1.458 Na
-1.891 3.220 2.739 Na
-1.941 6.458 1.266 Na
-9.778 3.347 2.474 Na
-0.374 1.349 8.554 Na
-1.478 0.108 3.988 Na
-6.688 0.804 5.718 Na
1.588 4.037 4.134 Na
-8.255 5.913 -1.570 Na
-6.711 7.276 2.619 Na
-9.339 9.103 2.850 Ti
-8.325 8.450 -3.533 Ti
-1.040 5.864 4.364 Ti
-6.758 3.341 3.755 Ti
-3.278 1.258 7.208 In
-2.423 0.561 0.962 In
-4.846 6.367 -0.079 In
-10.722 3.800 -0.552 In
-8.736 6.156 4.500 Si
-5.922 6.003 -3.426 Si
-0.437 2.917 6.015 Si
-4.355 0.894 3.862 Si
-12.560 8.946 1.883 P
-8.858 9.040 -6.804 P
-4.260 5.707 3.398 P
-7.291 3.931 0.484 P
-5.856 3.684 7.250 P
-2.861 3.581 -0.831 P
-7.423 8.793 -0.038 P
-11.161 6.820 -2.346 P
-1.686 2.639 7.011 O
-8.591 8.457 0.964 O
-9.989 7.134 -3.351 O
-3.197 1.285 2.795 O
-3.253 7.748 -0.276 O
-0.292 5.218 2.478 O
-8.421 2.025 3.937 O
-11.497 4.524 1.281 O
-5.221 4.469 3.448 O
-4.619 6.720 4.487 O
-6.533 5.254 0.617 O
-6.764 3.105 -0.741 O
-6.788 9.578 -3.839 O
3.681 3.482 6.002 O
-4.966 0.145 7.904 O
-15.064 6.344 -2.255 O
-4.612 2.939 7.771 O
-9.067 7.189 3.242 O
-7.395 6.719 -3.704 O
-2.268 2.656 0.249 O
-6.179 8.048 0.484 O
-0.767 3.950 4.757 O
-5.828 1.610 3.584 O
-10.567 5.895 -1.266 O
-6.376 3.246 5.834 O
-7.592 6.817 5.391 O
-5.401 6.492 -2.001 O
-4.013 2.968 -1.705 O
-7.943 8.355 -1.454 O
0.708 3.579 6.905 O
-3.833 1.383 5.287 O
-12.312 6.207 -3.220 O
-5.542 5.183 7.301 O
-8.067 4.738 3.844 O
-6.177 4.328 -3.289 O
-3.304 4.870 -0.130 O
-7.109 10.292 0.013 O
0.233 1.499 5.359 O
-4.610 -0.781 3.999 O
-11.604 8.109 -1.645 O
-2.818 1.365 9.351 O
-11.091 8.455 2.028 O
-8.723 8.178 -5.515 O
-0.476 1.081 1.830 O
-4.385 6.474 2.063 O
-2.791 5.216 3.542 O
-7.156 3.069 1.772 O
-8.776 4.320 0.315 O
```

# 4
A relaxed structure of Na3TiInSiP2O12. Source: Materials Project, functional PBE.

```
Na3TiInSiP2O12
1.0
7.807 -4.537 0.000
7.807 4.537 0.000
-0.071 0.000 22.117
Na Ti In Si P O
18 6 6 6 12 72
Cartesian
7.771 4.518 11.059 Na
5.102 2.804 5.575 Na
2.636 1.244 9.202 Na
7.662 1.698 9.120 Na
2.601 -1.244 20.260 Na
5.175 0.192 18.413 Na
8.146 1.571 1.887 Na
5.211 -0.192 7.354 Na
7.786 1.181 16.542 Na
7.822 -1.181 5.483 Na
5.066 -2.804 16.633 Na
10.407 0.047 14.730 Na
10.442 -0.047 3.671 Na
7.627 -1.698 20.179 Na
8.110 -1.571 12.945 Na
13.056 1.222 1.781 Na
13.021 -1.222 12.840 Na
7.807 -4.518 0.000 Na
0.112 0.015 14.350 Ti
0.147 -0.015 3.292 Ti
5.285 0.076 10.672 Ti
5.250 -0.076 21.730 Ti
10.497 0.088 6.986 Ti
10.462 -0.088 18.044 Ti
-0.010 0.004 7.759 In
-0.045 -0.004 18.818 In
5.265 0.009 4.054 In
5.230 -0.009 15.113 In
10.484 0.091 11.431 In
10.519 -0.091 0.372 In
7.929 1.841 5.567 Si
7.588 1.407 12.964 Si
7.624 -1.407 1.906 Si
12.730 1.364 20.344 Si
7.894 -1.841 16.626 Si
12.765 -1.364 9.285 Si
10.145 -3.166 5.591 P
13.315 -1.301 16.557 P
2.911 1.274 12.877 P
5.332 2.654 1.901 P
10.110 3.166 16.649 P
2.946 -1.274 1.818 P
10.531 2.698 9.211 P
8.113 1.295 20.294 P
5.297 -2.654 12.959 P
8.148 -1.295 9.235 P
13.350 1.301 5.499 P
10.496 -2.698 20.270 P
1.529 0.838 20.108 O
6.493 3.690 9.226 O
1.778 0.869 6.914 O
1.520 0.576 13.004 O
6.395 3.347 17.800 O
6.692 3.449 1.896 O
5.137 1.971 3.259 O
3.785 1.077 14.111 O
4.013 1.049 20.366 O
5.247 1.736 16.426 O
3.765 0.838 5.438 O
7.582 3.053 13.054 O
3.628 0.705 11.602 O
5.005 1.478 9.341 O
1.555 -0.576 1.946 O
5.431 1.595 0.754 O
1.564 -0.838 9.050 O
9.138 3.583 15.469 O
7.622 2.676 6.909 O
8.064 2.895 4.262 O
7.988 2.812 20.142 O
1.743 -0.869 17.973 O
6.527 1.026 11.672 O
3.664 -0.705 0.543 O
6.628 0.846 5.492 O
3.730 -0.838 16.497 O
3.820 -1.077 3.052 O
6.994 0.735 14.306 O
6.732 0.573 20.393 O
4.048 -1.049 9.307 O
10.136 1.892 10.441 O
8.910 1.098 21.594 O
10.149 1.599 16.637 O
10.516 1.739 1.741 O
4.969 -1.478 20.400 O
9.293 0.902 5.679 O
10.640 1.691 7.991 O
6.767 -0.573 9.334 O
8.863 0.619 19.081 O
9.022 0.684 12.809 O
6.593 -0.846 16.551 O
5.396 -1.595 11.812 O
5.283 -1.736 5.368 O
7.030 -0.735 3.247 O
6.562 -1.026 0.613 O
5.102 -1.971 14.317 O
8.898 -0.619 8.022 O
11.731 0.971 19.054 O
9.057 -0.684 1.750 O
11.962 0.860 12.838 O
12.100 0.860 21.733 O
8.945 -1.098 10.536 O
9.258 -0.902 16.737 O
12.012 0.500 5.655 O
6.431 -3.347 6.742 O
7.587 -2.676 17.968 O
6.656 -3.449 12.954 O
6.458 -3.690 20.285 O
7.617 -3.053 1.995 O
8.023 -2.812 9.084 O
11.977 -0.500 16.713 O
10.184 -1.599 5.578 O
14.081 0.657 4.262 O
8.029 -2.895 15.321 O
10.100 -1.892 21.500 O
11.766 -0.971 7.995 O
11.997 -0.860 1.779 O
10.480 -1.739 12.800 O
10.605 -1.691 19.049 O
12.136 -0.860 10.674 O
14.045 -0.657 15.321 O
9.173 -3.583 4.411 O
```

Calculated total energy in eV per cell, matching the order above: -832.60 -886.64 -547.17 -821.63
ΔE_f in eV per atom, matching the order above: -2.668 -2.969 -2.740 -2.747